(1)
A plane-wave DFT calculation with PBE was carried out for an optimized crystal structure of Al2Si4O11.

a = 5.2278 Å, b = 5.2333 Å, c = 9.7203 Å
α = 80.93°, β = 85.02°, γ = 61.25°
With the nearest neighbours (Å) after each atom.
Fractional positions:
O  0.2413  0.4123  0.6464  2 Si 1.63
O  0.4170  0.0414  0.8804  1 Si 1.65, 1 Al 1.83
O  0.3027  0.1309  0.3537  2 Si 1.64
O  0.0048  0.3812  0.1197  1 Si 1.65, 1 Al 1.83
O  0.8472  0.0538  0.3213  2 Si 1.63
O  0.7587  0.5877  0.3536  2 Si 1.63
O  0.5000  0.5000  0.0000  2 Al 1.68
O  0.9952  0.6188  0.8803  1 Si 1.65, 1 Al 1.83
O  0.1528  0.9462  0.6787  2 Si 1.63
O  0.5830  0.9586  0.1196  1 Si 1.65, 1 Al 1.83
O  0.6973  0.8691  0.6463  2 Si 1.64
Al  0.3136  0.3131  0.0000  3 O 1.68-1.83
Al  0.6864  0.6869  0.0000  3 O 1.68-1.83
Si  0.9761  0.2850  0.2880  4 O 1.63-1.65
Si  0.3734  0.0660  0.7117  4 O 1.63-1.65
Si  0.6266  0.9340  0.2883  4 O 1.63-1.65
Si  0.0239  0.7150  0.7120  4 O 1.63-1.65

Calculated values
* E: -7.76 eV per atom
* symmetry: P-1, No. 2


(2)
A plane-wave DFT calculation with PBE was carried out for an optimized crystal structure of LaH6S3N3O9.

a = 6.0794 Å, b = 9.8683 Å, c = 9.8737 Å
α = 119.91°, β = 90.63°, γ = 89.72°
With the nearest neighbours (Å) after each atom.
Fractional positions:
O  0.0513  0.8500  0.3473  1 S 1.47
O  0.9501  0.3512  0.4964  1 S 1.47
O  0.7556  0.9152  0.6104  1 S 1.47
O  0.5503  0.3468  0.4952  1 S 1.46
O  0.7472  0.6954  0.0846  1 S 1.47
O  0.4500  0.4969  0.1453  1 S 1.47
O  0.2522  0.6064  0.6922  1 S 1.46
O  0.9494  0.5048  0.8531  1 S 1.46
O  0.0497  0.4961  0.1482  1 S 1.47
O  0.2485  0.3070  0.9147  1 S 1.46
O  0.5496  0.5029  0.8536  1 S 1.47
O  0.4518  0.8562  0.3536  1 S 1.47
O  0.2494  0.0851  0.3920  1 S 1.46
O  0.5510  0.1478  0.6519  1 S 1.46
O  0.4489  0.6518  0.5028  1 S 1.47
O  0.0487  0.6475  0.5026  1 S 1.47
O  0.9508  0.1458  0.6484  1 S 1.47
O  0.7476  0.3910  0.3055  1 S 1.47
La  0.7490  0.6669  0.3333  9 O 2.53-2.61
La  0.2492  0.3331  0.6667  9 O 2.53-2.59
H  0.7304  0.2665  0.9369  1 N 1.03
H  0.8737  0.1120  0.9108  1 N 1.02
H  0.2246  0.7376  0.0617  1 N 1.03
H  0.7303  0.0624  0.3271  1 N 1.03
H  0.3688  0.8967  0.0980  1 N 1.02
H  0.2311  0.3252  0.2627  1 N 1.03
H  0.6296  0.7997  0.8871  1 N 1.02
H  0.3753  0.2016  0.1071  1 N 1.02
H  0.8729  0.0931  0.2026  1 N 1.02
H  0.2737  0.9384  0.6777  1 N 1.03
H  0.1327  0.9010  0.8006  1 N 1.02
H  0.7685  0.6704  0.7328  1 N 1.03
N  0.7636  0.7278  0.8526  2 H 1.02-1.03
N  0.2372  0.2700  0.1431  2 H 1.02-1.03
N  0.7384  0.1467  0.8741  2 H 1.02-1.03
N  0.7353  0.1258  0.2704  2 H 1.02-1.03
N  0.2340  0.8571  0.1284  2 H 1.02-1.03
N  0.2662  0.8707  0.7295  2 H 1.02-1.03
S  0.7478  0.3155  0.4015  3 O 1.46-1.47
S  0.7514  0.0865  0.6846  3 O 1.46-1.47
S  0.2492  0.9145  0.3169  3 O 1.46-1.47
S  0.7500  0.5987  0.9135  3 O 1.46-1.47
S  0.2512  0.6826  0.5974  3 O 1.46-1.47
S  0.2487  0.4017  0.0851  3 O 1.46-1.47

Calculated values
* E: -6.05 eV per atom
* symmetry: P1, No. 1


(3)
A plane-wave DFT calculation with PBE was carried out for an optimized crystal structure of K2PtO6.

a = 5.4695 Å, b = 5.5296 Å, c = 6.1118 Å
α = 76.29°, β = 79.16°, γ = 86.07°
With the nearest neighbours (Å) after each atom.
Fractional positions:
O  0.7606  0.7652  0.4522  1 O 1.40
O  0.7293  0.8680  0.2266  1 O 1.40
O  0.5971  0.4847  0.9277  1 O 1.28
O  0.4029  0.5153  0.0723  1 O 1.28
O  0.2707  0.1320  0.7734  1 O 1.40
O  0.2394  0.2348  0.5478  1 O 1.40
K  0.2547  0.7412  0.5042  6 O 2.73-3.02
K  0.7453  0.2588  0.4958  6 O 2.73-3.02
Pt  0.0000  0.0000  0.0000  2 O 1.88

Calculated values
* E: -4.66 eV per atom
* symmetry: P-1, No. 2


> What is the E in the second record?

-6.05 eV per atom